Computed, not measured: an optimized crystal structure of Y14MgRe2O28 at the PBE level of DFT.

```
data_Y14MgRe2O28
_chemical_formula_sum 'Y14 Mg1 Re2 O28'
_cell_length_a 7.6125
_cell_length_b 15.1840
_cell_length_c 13.1331
_cell_angle_alpha 30.31
_cell_angle_beta 54.56
_cell_angle_gamma 59.90
_symmetry_space_group_name_H-M 'P 1'
_symmetry_Int_Tables_number 1
loop_
_symmetry_equiv_pos_as_xyz
'x,y,z'
loop_
_atom_site_label
_atom_site_fract_x
_atom_site_fract_y
_atom_site_fract_z
O1 0.5913 0.7210 0.1876
O2 0.4095 0.0108 0.8541
O3 0.8052 0.0508 0.3332
O4 0.1550 0.7791 0.5655
O5 0.1294 0.5077 0.1331
O6 0.2006 0.9486 0.6662
O7 0.8020 0.4466 0.4517
O8 0.5385 0.5541 0.5749
O9 0.8671 0.2264 0.4068
O10 0.5821 0.7712 0.6468
O11 0.8609 0.0106 0.8542
O12 0.1377 0.7337 0.1289
O13 0.8713 0.7670 0.8622
O14 0.3833 0.4972 0.8722
O15 0.5724 0.9497 0.6647
O16 0.8672 0.2796 0.8530
O17 0.4182 0.2296 0.3523
O18 0.8773 0.4970 0.8724
O19 0.6130 0.9886 0.1384
O20 0.4256 0.0502 0.3339
O21 0.1329 0.9886 0.1383
O22 0.2021 0.5531 0.5762
O23 0.1379 0.2546 0.6077
O24 0.8687 0.7274 0.4037
O25 0.4017 0.4462 0.4524
O26 0.1498 0.2491 0.1008
O27 0.4213 0.2648 0.8141
O28 0.5894 0.5077 0.1331
Y1 0.0062 0.4982 0.4959
Y2 0.9556 0.7733 0.4893
Y3 0.9692 0.7476 0.0168
Y4 0.9601 0.4958 0.0445
Y5 0.5139 0.2432 0.9856
Y6 0.0107 0.0046 0.4837
Y7 0.4932 0.2334 0.5020
Y8 0.0287 0.2437 0.9847
Y9 0.5026 0.7484 0.0155
Y10 0.5029 0.4989 0.9983
Y11 0.0093 0.9960 0.9947
Y12 0.5183 0.7737 0.4892
Y13 0.5004 0.9908 0.0087
Y14 0.0359 0.2338 0.5019
Re1 0.5054 0.4925 0.5021
Re2 0.4978 0.9995 0.5027
Mg1 0.2194 0.5243 0.7561
```

Computed, not measured: an optimized crystal structure of Y14MgRe2O28 at the PBE level of DFT.

```
data_Y14MgRe2O28
_chemical_formula_sum 'Y14 Mg1 Re2 O28'
_cell_length_a 7.6586
_cell_length_b 15.2464
_cell_length_c 13.1599
_cell_angle_alpha 30.16
_cell_angle_beta 54.56
_cell_angle_gamma 59.76
_symmetry_space_group_name_H-M 'P 1'
_symmetry_Int_Tables_number 1
loop_
_symmetry_equiv_pos_as_xyz
'x,y,z'
loop_
_atom_site_label
_atom_site_fract_x
_atom_site_fract_y
_atom_site_fract_z
O1 0.5862 0.7656 0.6430
O2 0.8091 0.0256 0.3833
O3 0.6292 0.7193 0.1943
O4 0.8808 0.9996 0.8719
O5 0.4199 0.4820 0.8773
O6 0.1355 0.7639 0.6064
O7 0.3750 0.2815 0.8286
O8 0.8523 0.2350 0.4001
O9 0.1466 0.2335 0.1366
O10 0.6212 0.5442 0.5481
O11 0.8397 0.7858 0.8586
O12 0.6082 0.5192 0.1082
O13 0.5754 0.9635 0.1651
O14 0.4364 0.2199 0.3684
O15 0.1745 0.9924 0.6008
O16 0.2236 0.5804 0.5290
O17 0.8782 0.2650 0.8711
O18 0.4928 0.0678 0.3008
O19 0.3981 0.4849 0.4015
O20 0.8711 0.4841 0.8785
O21 0.1471 0.9893 0.1402
O22 0.1358 0.5085 0.1234
O23 0.6987 0.3407 0.5488
O24 0.0906 0.7097 0.1660
O25 0.1259 0.2799 0.5869
O26 0.4058 0.0180 0.8422
O27 0.4422 0.8680 0.7640
O28 0.8625 0.7455 0.3875
Y1 0.0227 0.7696 0.9583
Y2 0.4930 0.7505 0.5249
Y3 0.9969 0.4906 0.0059
Y4 0.4979 0.2748 0.4664
Y5 0.0378 0.5005 0.5088
Y6 0.4974 0.7364 0.0318
Y7 0.9983 0.0037 0.4984
Y8 0.9660 0.7639 0.5044
Y9 0.0362 0.2368 0.4928
Y10 0.5046 0.2629 0.9680
Y11 0.5088 0.0414 0.9492
Y12 0.0186 0.2368 0.0177
Y13 0.0434 0.0418 0.9530
Y14 0.5075 0.4990 0.9982
Mg1 0.7769 0.7787 0.2248
Re1 0.4997 0.9985 0.5012
Re2 0.4999 0.4996 0.5006
```

Computed, not measured: an optimized crystal structure of Y14MgRe2O28 at the PBE level of DFT.

```
data_Y14MgRe2O28
_chemical_formula_sum 'Y14 Mg1 Re2 O28'
_cell_length_a 7.6269
_cell_length_b 15.2197
_cell_length_c 13.1597
_cell_angle_alpha 30.23
_cell_angle_beta 54.58
_cell_angle_gamma 59.93
_symmetry_space_group_name_H-M 'P 1'
_symmetry_Int_Tables_number 1
loop_
_symmetry_equiv_pos_as_xyz
'x,y,z'
loop_
_atom_site_label
_atom_site_fract_x
_atom_site_fract_y
_atom_site_fract_z
O1 0.7941 0.0656 0.3169
O2 0.1376 0.7263 0.1361
O3 0.8697 0.7464 0.3839
O4 0.1355 0.5089 0.1267
O5 0.1933 0.5489 0.5669
O6 0.8724 0.0103 0.8590
O7 0.3918 0.4885 0.8834
O8 0.1394 0.7956 0.5649
O9 0.8626 0.7482 0.8893
O10 0.5752 0.5489 0.5669
O11 0.3890 0.0103 0.8590
O12 0.1555 0.9833 0.1620
O13 0.1470 0.2098 0.1432
O14 0.1368 0.2670 0.5961
O15 0.4409 0.0656 0.3169
O16 0.4181 0.2729 0.8090
O17 0.8633 0.2340 0.4027
O18 0.8011 0.4458 0.4400
O19 0.1935 0.9481 0.6631
O20 0.8699 0.2675 0.8625
O21 0.8644 0.4885 0.8834
O22 0.5863 0.7708 0.6430
O23 0.5841 0.9481 0.6631
O24 0.5932 0.5089 0.1267
O25 0.4273 0.4458 0.4400
O26 0.4143 0.2287 0.3570
O27 0.5860 0.7295 0.1845
O28 0.5539 0.9833 0.1620
Re1 0.5027 0.4991 0.4982
Re2 0.5047 0.0060 0.4894
Y1 0.4954 0.5027 0.0019
Y2 0.4996 0.7378 0.0269
Y3 0.9584 0.7445 0.5188
Y4 0.0052 0.5005 0.4944
Y5 0.9711 0.7378 0.0269
Y6 0.9849 0.4933 0.0218
Y7 0.5155 0.0065 0.9780
Y8 0.4930 0.2414 0.4926
Y9 0.5150 0.7445 0.5188
Y10 0.5093 0.2808 0.9502
Y11 0.0130 0.0011 0.9860
Y12 0.0390 0.2414 0.4926
Y13 0.0287 0.2808 0.9502
Y14 0.9735 0.9878 0.5386
Mg1 0.2446 0.9988 0.2565
```

Computed, not measured: an optimized crystal structure of MgRhO3 at the PBE level of DFT.

```
data_MgRhO3
_chemical_formula_sum 'Mg1 Rh1 O3'
_cell_length_a 3.9002
_cell_length_b 3.9002
_cell_length_c 3.9002
_cell_angle_alpha 90.00
_cell_angle_beta 90.00
_cell_angle_gamma 90.00
_symmetry_space_group_name_H-M 'P 1'
_symmetry_Int_Tables_number 1
loop_
_symmetry_equiv_pos_as_xyz
'x,y,z'
loop_
_atom_site_label
_atom_site_fract_x
_atom_site_fract_y
_atom_site_fract_z
Rh1 0.5000 0.5000 0.5000
O1 0.5000 0.0000 0.5000
O2 0.0000 0.5000 0.5000
O3 0.5000 0.5000 0.0000
Mg1 0.0000 0.0000 0.0000
```

Computed, not measured: an optimized crystal structure of MgSbRhO4 at the PBE level of DFT.

```
data_MgSbRhO4
_chemical_formula_sum 'Mg1 Sb1 Rh1 O4'
_cell_length_a 3.1927
_cell_length_b 5.0498
_cell_length_c 5.8314
_cell_angle_alpha 88.83
_cell_angle_beta 90.00
_cell_angle_gamma 90.00
_symmetry_space_group_name_H-M 'P 1'
_symmetry_Int_Tables_number 1
loop_
_symmetry_equiv_pos_as_xyz
'x,y,z'
loop_
_atom_site_label
_atom_site_fract_x
_atom_site_fract_y
_atom_site_fract_z
O1 0.0000 0.3455 0.3218
O2 0.5000 0.2141 0.7343
O3 0.0000 0.6874 0.6806
O4 0.5000 0.8934 0.2914
Mg1 0.0000 0.0591 0.5792
Sb1 0.0000 0.0586 0.0788
Rh1 0.5000 0.5337 0.5083
```

Computed, not measured: an optimized crystal structure of MgSb2Rh2O8 at the PBE level of DFT.

```
data_MgSb2Rh2O8
_chemical_formula_sum 'Mg1 Sb2 Rh2 O8'
_cell_length_a 6.2500
_cell_length_b 6.5072
_cell_length_c 6.5072
_cell_angle_alpha 60.78
_cell_angle_beta 89.96
_cell_angle_gamma 57.76
_symmetry_space_group_name_H-M 'P 1'
_symmetry_Int_Tables_number 1
loop_
_symmetry_equiv_pos_as_xyz
'x,y,z'
loop_
_atom_site_label
_atom_site_fract_x
_atom_site_fract_y
_atom_site_fract_z
O1 0.1023 0.7560 0.8583
O2 0.0297 0.6855 0.3411
O3 0.4153 0.7385 0.1538
O4 0.9323 0.2266 0.1589
O5 0.4878 0.1997 0.3013
O6 0.6106 0.2533 0.8639
O7 0.4878 0.8134 0.6875
O8 0.0297 0.3114 0.7152
Mg1 0.2188 0.4981 0.7169
Sb1 0.1422 0.2580 0.4002
Sb2 0.0131 0.9948 0.0078
Rh1 0.5122 0.5013 0.0135
Rh2 0.7204 0.7635 0.4838
```

MP2020-corrected energy / eV per atom: -9.194 -9.219 -9.197 -5.998 -6.319 -6.448
Raw total energy / eV/atom: -8.77 -8.79 -8.77 -5.59 -5.93 -6.03
E_form / eV/atom: -3.5151 -3.5395 -3.5174 -1.2358 -1.6215 -1.5116